No. 1
Density functional theory data (GGA-PBE) for Na2TbO3 after structural relaxation.

```
Na2TbO3
1.0
5.8520 0.0000 0.0000
2.8501 5.1867 0.0000
2.6908 1.8397 8.2740
Na Tb O
6 3 9
direct
0.1082 0.2750 0.1663 Na
0.2160 0.0517 0.8340 Na
0.3261 0.8478 0.5007 Na
0.6739 0.1522 0.4993 Na
0.7840 0.9483 0.1660 Na
0.8918 0.7250 0.8337 Na
0.0000 0.5000 0.5000 Tb
0.4550 0.6247 0.1670 Tb
0.5450 0.3753 0.8330 Tb
0.0808 0.8489 0.3314 O
0.2172 0.6465 0.9938 O
0.2687 0.4422 0.6705 O
0.3638 0.2720 0.3372 O
0.5000 0.0000 0.0000 O
0.6362 0.7280 0.6628 O
0.7313 0.5578 0.3295 O
0.7828 0.3535 0.0062 O
0.9192 0.1511 0.6686 O
```

---

No. 2
Density functional theory data (GGA-PBE) for Na2TbO3 after structural relaxation.

```
Na2TbO3
1.0
-1.7229 2.3420 5.2597
1.7229 -2.3420 5.2597
1.7229 2.3420 -5.2597
Na Tb O
2 1 3
direct
0.1752 0.1752 0.0000 Na
0.8248 0.8248 0.0000 Na
0.5000 0.5000 0.0000 Tb
0.0000 0.5000 0.5000 O
0.3556 0.8556 0.5000 O
0.6444 0.1444 0.5000 O
```

---

no.,spin magnetization (μB per formula unit),E_form (eV per atom)
1,1.00,-2.44
2,1.00,-2.44